No. 1
The following is a GGA-PBE calculation of an optimized crystal structure of BaEr2Te4, from the Materials Project.

Unit cell a=13.771 b=4.463 c=16.223 alpha=90.00 beta=90.00 gamma=90.00
Positions (direct):
Ba1 0.238 0.250 0.170
Ba2 0.262 0.750 0.670
Ba3 0.738 0.250 0.330
Ba4 0.762 0.750 0.830
Er1 0.058 0.250 0.390
Er2 0.081 0.250 0.904
Er3 0.419 0.750 0.404
Er4 0.442 0.750 0.890
Er5 0.558 0.250 0.110
Er6 0.581 0.250 0.596
Er7 0.919 0.750 0.096
Er8 0.942 0.750 0.610
Te1 0.028 0.750 0.784
Te2 0.090 0.250 0.576
Te3 0.126 0.750 0.028
Te4 0.204 0.750 0.341
Te5 0.296 0.250 0.841
Te6 0.374 0.250 0.528
Te7 0.410 0.750 0.076
Te8 0.472 0.250 0.284
Te9 0.528 0.750 0.716
Te10 0.590 0.250 0.924
Te11 0.626 0.750 0.472
Te12 0.704 0.750 0.159
Te13 0.796 0.250 0.659
Te14 0.874 0.250 0.972
Te15 0.910 0.750 0.424
Te16 0.972 0.250 0.216

- symmetry = Pnma, No. 62
- energy relative to the elements (eV per atom) = -1.768

No. 2
The following is a GGA-PBE calculation of an optimized crystal structure of KNbCu2S4, from the Materials Project.

Unit cell a=7.430 b=9.597 c=9.597 alpha=146.41 beta=90.00 gamma=90.00
Positions (direct):
K1 0.250 0.182 0.818
K2 0.750 0.818 0.182
Nb1 0.250 0.641 0.867
Nb2 0.750 0.867 0.641
Cu1 0.000 0.733 0.733
Cu2 0.250 0.145 0.363
Cu3 0.500 0.733 0.733
Cu4 0.750 0.363 0.145
S1 0.002 0.616 0.401
S2 0.250 0.795 0.219
S3 0.250 0.983 0.999
S4 0.498 0.616 0.401
S5 0.502 0.401 0.616
S6 0.750 0.219 0.795
S7 0.750 0.999 0.983
S8 0.998 0.401 0.616

- symmetry = Ama2, No. 40
- energy relative to the elements (eV per atom) = -1.086
- maximum piezoelectric response (C/m²) = 0.9
- spin magnetization (μB/f.u.) = 0.00

No. 3
The following is a GGA-PBE calculation of an optimized crystal structure of TiC4NO10, from the Materials Project.

Unit cell a=9.123 b=9.123 c=10.023 alpha=90.00 beta=90.00 gamma=120.00
Positions (direct):
Ti1 0.000 0.500 0.167
Ti2 0.500 0.000 0.500
Ti3 0.500 0.500 0.833
C1 0.218 0.437 0.000
C2 0.218 0.782 0.333
C3 0.314 0.628 0.000
C4 0.314 0.686 0.333
C5 0.372 0.686 0.667
C6 0.437 0.218 0.667
C7 0.563 0.782 0.667
C8 0.628 0.314 0.667
C9 0.686 0.314 0.333
C10 0.686 0.372 0.000
C11 0.782 0.218 0.333
C12 0.782 0.563 0.000
N1 0.000 0.000 0.167
N2 0.000 0.000 0.500
N3 0.000 0.000 0.833
O1 0.000 0.078 0.667
O2 0.000 0.922 0.667
O3 0.072 0.364 0.051
O4 0.072 0.708 0.282
O5 0.078 0.000 0.000
O6 0.078 0.078 0.333
O7 0.236 0.541 0.279
O8 0.236 0.695 0.054
O9 0.292 0.364 0.949
O10 0.292 0.928 0.385
O11 0.305 0.541 0.721
O12 0.305 0.764 0.613
O13 0.364 0.072 0.615
O14 0.364 0.292 0.718
O15 0.459 0.695 0.946
O16 0.459 0.764 0.387
O17 0.541 0.236 0.387
O18 0.541 0.305 0.946
O19 0.636 0.708 0.718
O20 0.636 0.928 0.615
O21 0.695 0.236 0.613
O22 0.695 0.459 0.721
O23 0.708 0.072 0.385
O24 0.708 0.636 0.949
O25 0.764 0.305 0.054
O26 0.764 0.459 0.279
O27 0.922 0.000 0.000
O28 0.922 0.922 0.333
O29 0.928 0.292 0.282
O30 0.928 0.636 0.051

- symmetry = P6_222, No. 180
- energy relative to the elements (eV per atom) = -0.876
- spin magnetization (μB/f.u.) = 1.00

No. 4
The following is a GGA-PBE calculation of an optimized crystal structure of Pb5C3O12, from the Materials Project.

Unit cell a=9.168 b=9.178 c=26.402 alpha=89.75 beta=89.90 gamma=60.14
Positions (direct):
Pb1 0.000 0.000 0.000
Pb2 0.000 0.229 0.379
Pb3 0.001 0.454 0.499
Pb4 0.001 0.577 0.098
Pb5 0.001 0.876 0.598
Pb6 0.002 0.229 0.879
Pb7 0.007 0.907 0.207
Pb8 0.070 0.780 0.808
Pb9 0.228 0.000 0.500
Pb10 0.228 0.228 0.999
Pb11 0.318 0.233 0.203
Pb12 0.324 0.910 0.704
Pb13 0.325 0.573 0.414
Pb14 0.346 0.563 0.916
Pb15 0.351 0.877 0.098
Pb16 0.352 0.227 0.598
Pb17 0.374 0.300 0.807
Pb18 0.447 0.849 0.308
Pb19 0.552 0.302 0.307
Pb20 0.626 0.676 0.807
Pb21 0.650 0.576 0.598
Pb22 0.651 0.226 0.098
Pb23 0.664 0.909 0.416
Pb24 0.671 0.903 0.914
Pb25 0.676 0.548 0.203
Pb26 0.688 0.220 0.707
Pb27 0.772 0.228 0.500
Pb28 0.775 0.454 0.000
Pb29 0.928 0.674 0.307
Pb30 0.997 0.552 0.703
C1 0.001 0.227 0.099
C2 0.001 0.227 0.599
C3 0.001 0.228 0.724
C4 0.001 0.556 0.901
C5 0.328 0.566 0.212
C6 0.331 0.227 0.401
C7 0.331 0.897 0.901
C8 0.334 0.560 0.077
C9 0.334 0.560 0.577
C10 0.338 0.560 0.713
C11 0.667 0.894 0.577
C12 0.667 0.899 0.713
C13 0.668 0.894 0.077
C14 0.668 0.896 0.213
C15 0.670 0.229 0.900
C16 0.672 0.556 0.401
C17 0.999 0.228 0.224
C18 0.999 0.898 0.400
O1 0.000 0.087 0.722
O2 0.000 0.964 0.517
O3 0.001 0.084 0.099
O4 0.001 0.227 0.464
O5 0.001 0.227 0.964
O6 0.001 0.368 0.598
O7 0.001 0.369 0.224
O8 0.001 0.698 0.902
O9 0.002 0.489 0.017
O10 0.002 0.583 0.787
O11 0.141 0.086 0.222
O12 0.141 0.897 0.401
O13 0.142 0.085 0.598
O14 0.143 0.226 0.098
O15 0.143 0.227 0.724
O16 0.143 0.414 0.901
O17 0.189 0.896 0.900
O18 0.190 0.368 0.401
O19 0.190 0.561 0.210
O20 0.194 0.557 0.578
O21 0.194 0.703 0.078
O22 0.200 0.706 0.715
O23 0.263 0.964 0.017
O24 0.265 0.226 0.517
O25 0.321 0.557 0.832
O26 0.328 0.423 0.717
O27 0.328 0.707 0.209
O28 0.331 0.038 0.901
O29 0.331 0.085 0.400
O30 0.331 0.420 0.078
O31 0.332 0.703 0.577
O32 0.346 0.551 0.329
O33 0.360 0.852 0.788
O34 0.377 0.211 0.288
O35 0.473 0.425 0.217
O36 0.473 0.754 0.901
O37 0.474 0.226 0.401
O38 0.477 0.420 0.578
O39 0.477 0.558 0.078
O40 0.481 0.552 0.707
O41 0.522 0.904 0.215
O42 0.524 0.896 0.578
O43 0.525 0.034 0.077
O44 0.525 0.037 0.710
O45 0.527 0.229 0.900
O46 0.530 0.698 0.402
O47 0.635 0.230 0.788
O48 0.644 0.585 0.287
O49 0.670 0.035 0.577
O50 0.670 0.370 0.901
O51 0.670 0.751 0.078
O52 0.670 0.877 0.331
O53 0.670 0.882 0.829
O54 0.671 0.754 0.717
O55 0.672 0.414 0.400
O56 0.677 0.031 0.207
O57 0.737 0.227 0.017
O58 0.739 0.489 0.517
O59 0.805 0.750 0.217
O60 0.808 0.751 0.578
O61 0.808 0.897 0.078
O62 0.808 0.900 0.709
O63 0.811 0.087 0.901
O64 0.814 0.556 0.401
O65 0.857 0.228 0.223
O66 0.858 0.039 0.401
O67 0.858 0.227 0.599
O68 0.859 0.368 0.098
O69 0.859 0.370 0.723
O70 0.860 0.555 0.900
O71 0.998 0.864 0.288
O72 0.999 0.756 0.400

- symmetry = P1, No. 1
- energy relative to the elements (eV per atom) = -1.573
- spin magnetization (μB/f.u.) = 0.00

No. 5
The following is a GGA-PBE calculation of an optimized crystal structure of K3Be3B3P6O25, from the Materials Project.

Unit cell a=12.719 b=12.719 c=12.719 alpha=90.00 beta=90.00 gamma=90.00
Positions (direct):
K1 0.100 0.100 0.100
K2 0.125 0.625 0.875
K3 0.150 0.850 0.350
K4 0.350 0.150 0.850
K5 0.375 0.375 0.375
K6 0.400 0.900 0.600
K7 0.600 0.400 0.900
K8 0.625 0.875 0.125
K9 0.650 0.650 0.650
K10 0.850 0.350 0.150
K11 0.875 0.125 0.625
K12 0.900 0.600 0.400
Be1 0.067 0.125 0.816
Be2 0.125 0.816 0.067
Be3 0.184 0.567 0.375
Be4 0.316 0.433 0.875
Be5 0.375 0.184 0.567
Be6 0.433 0.875 0.316
Be7 0.567 0.375 0.184
Be8 0.625 0.684 0.933
Be9 0.684 0.933 0.625
Be10 0.816 0.067 0.125
Be11 0.875 0.316 0.433
Be12 0.933 0.625 0.684
B1 0.109 0.875 0.641
B2 0.125 0.141 0.391
B3 0.141 0.391 0.125
B4 0.359 0.609 0.625
B5 0.375 0.859 0.891
B6 0.391 0.125 0.141
B7 0.609 0.625 0.359
B8 0.625 0.359 0.609
B9 0.641 0.109 0.875
B10 0.859 0.891 0.375
B11 0.875 0.641 0.109
B12 0.891 0.375 0.859
P1 0.088 0.607 0.160
P2 0.090 0.357 0.338
P3 0.107 0.340 0.912
P4 0.143 0.662 0.590
P5 0.160 0.088 0.607
P6 0.162 0.910 0.857
P7 0.338 0.090 0.357
P8 0.340 0.912 0.107
P9 0.357 0.338 0.090
P10 0.393 0.660 0.412
P11 0.410 0.643 0.838
P12 0.412 0.393 0.660
P13 0.588 0.893 0.840
P14 0.590 0.143 0.662
P15 0.607 0.160 0.088
P16 0.643 0.838 0.410
P17 0.660 0.412 0.393
P18 0.662 0.590 0.143
P19 0.838 0.410 0.643
P20 0.840 0.588 0.893
P21 0.857 0.162 0.910
P22 0.893 0.840 0.588
P23 0.910 0.857 0.162
P24 0.912 0.107 0.340
O1 0.003 0.395 0.877
O2 0.022 0.872 0.122
O3 0.035 0.102 0.327
O4 0.058 0.629 0.665
O5 0.077 0.351 0.214
O6 0.084 0.122 0.692
O7 0.102 0.327 0.035
O8 0.105 0.123 0.503
O9 0.122 0.022 0.872
O10 0.122 0.228 0.870
O11 0.122 0.692 0.084
O12 0.123 0.503 0.105
O13 0.126 0.374 0.626
O14 0.127 0.855 0.753
O15 0.128 0.622 0.478
O16 0.129 0.835 0.942
O17 0.130 0.622 0.272
O18 0.145 0.253 0.373
O19 0.149 0.786 0.577
O20 0.165 0.442 0.371
O21 0.173 0.965 0.602
O22 0.192 0.416 0.878
O23 0.214 0.077 0.351
O24 0.228 0.870 0.122
O25 0.247 0.627 0.645
O26 0.253 0.373 0.145
O27 0.272 0.130 0.622
O28 0.286 0.923 0.851
O29 0.308 0.584 0.378
O30 0.327 0.035 0.102
O31 0.335 0.558 0.871
O32 0.351 0.214 0.077
O33 0.355 0.747 0.873
O34 0.370 0.378 0.772
O35 0.371 0.165 0.442
O36 0.372 0.378 0.978
O37 0.373 0.145 0.253
O38 0.374 0.626 0.126
O39 0.377 0.497 0.605
O40 0.378 0.308 0.584
O41 0.378 0.772 0.370
O42 0.378 0.978 0.372
O43 0.395 0.877 0.003
O44 0.398 0.673 0.535
O45 0.416 0.878 0.192
O46 0.423 0.649 0.714
O47 0.442 0.371 0.165
O48 0.465 0.898 0.827
O49 0.478 0.128 0.622
O50 0.497 0.605 0.377
O51 0.503 0.105 0.123
O52 0.522 0.628 0.878
O53 0.535 0.398 0.673
O54 0.558 0.871 0.335
O55 0.577 0.149 0.786
O56 0.584 0.378 0.308
O57 0.602 0.173 0.965
O58 0.605 0.377 0.497
O59 0.622 0.272 0.130
O60 0.622 0.478 0.128
O61 0.622 0.808 0.916
O62 0.623 0.997 0.895
O63 0.626 0.126 0.374
O64 0.627 0.645 0.247
O65 0.628 0.878 0.522
O66 0.629 0.665 0.058
O67 0.630 0.878 0.728
O68 0.645 0.247 0.627
O69 0.649 0.714 0.423
O70 0.665 0.058 0.629
O71 0.673 0.535 0.398
O72 0.692 0.084 0.122
O73 0.714 0.423 0.649
O74 0.728 0.630 0.878
O75 0.747 0.873 0.355
O76 0.753 0.127 0.855
O77 0.772 0.370 0.378
O78 0.786 0.577 0.149
O79 0.808 0.916 0.622
O80 0.827 0.465 0.898
O81 0.835 0.942 0.129
O82 0.851 0.286 0.923
O83 0.855 0.753 0.127
O84 0.870 0.122 0.228
O85 0.871 0.335 0.558
O86 0.872 0.122 0.022
O87 0.873 0.355 0.747
O88 0.874 0.874 0.874
O89 0.877 0.003 0.395
O90 0.878 0.192 0.416
O91 0.878 0.522 0.628
O92 0.878 0.728 0.630
O93 0.895 0.623 0.997
O94 0.898 0.827 0.465
O95 0.916 0.622 0.808
O96 0.923 0.851 0.286
O97 0.942 0.129 0.835
O98 0.965 0.602 0.173
O99 0.978 0.372 0.378
O100 0.997 0.895 0.623

- symmetry = P2_13, No. 198
- energy relative to the elements (eV per atom) = -2.715
- spin magnetization (μB/f.u.) = 2.00

No. 6
The following is a GGA-PBE calculation of an optimized crystal structure of Tl2SeS, from the Materials Project.

Unit cell a=8.115 b=6.750 c=6.735 alpha=73.99 beta=53.09 gamma=52.92
Positions (direct):
Tl1 0.244 0.756 0.756
Tl2 0.250 0.250 0.250
Tl3 0.750 0.750 0.750
Tl4 0.756 0.244 0.244
Se1 0.323 0.323 0.677
Se2 0.677 0.677 0.323
S1 0.169 0.831 0.169
S2 0.831 0.169 0.831

- symmetry = Fmmm, No. 69
- energy relative to the elements (eV per atom) = -0.362
- spin magnetization (μB/f.u.) = 0.00

No. 7
The following is a GGA-PBE calculation of an optimized crystal structure of Mn2CuSb2Pd, from the Materials Project.

Unit cell a=7.574 b=7.574 c=7.574 alpha=33.54 beta=33.54 gamma=33.54
Positions (direct):
Mn1 0.000 0.000 0.000
Mn2 0.499 0.499 0.499
Cu1 0.374 0.374 0.374
Sb1 0.252 0.252 0.252
Sb2 0.748 0.748 0.748
Pd1 0.875 0.875 0.875

- symmetry = R3m, No. 160
- energy relative to the elements (eV per atom) = -0.092
- spin magnetization (μB/f.u.) = 8.98